# 1
Entry from Materials Project: a relaxed Na2MnAgF6 crystal (GGA+U).

VASP energy in eV per atom: -4.6052
ΔH_f (0 K) in eV per atom: -2.44
MP2020-corrected energy in eV per atom: -5.049

Unit cell a=6.0424 b=6.0424 c=6.0424 alpha=60.00 beta=60.00 gamma=60.00
Fractional coordinates of all 10 atoms:
Na: 0.2500 0.2500 0.2500
Na: 0.7500 0.7500 0.7500
Mn: 0.0000 0.0000 0.0000
Ag: 0.5000 0.5000 0.5000
F: 0.2288 0.2288 0.7712
F: 0.2288 0.7712 0.2288
F: 0.2288 0.7712 0.7712
F: 0.7712 0.2288 0.2288
F: 0.7712 0.2288 0.7712
F: 0.7712 0.7712 0.2288

=====

# 2
Entry from Materials Project: a relaxed Li4Ti2Cr3Ni3O16 crystal (GGA+U).

VASP energy in eV per atom: -6.6078
ΔH_f (0 K) in eV per atom: -2.17
MP2020-corrected energy in eV per atom: -7.487

Unit cell a=5.8814 b=5.8814 c=9.4527 alpha=91.92 beta=91.92 gamma=59.11
Fractional coordinates of all 28 atoms:
Li: 0.0000 0.0000 0.0000
Li: 0.0006 0.0006 0.4976
Li: 0.3371 0.3371 0.1010
Li: 0.6611 0.6611 0.5968
Ti: 0.3347 0.3347 0.4926
Ti: 0.6657 0.6657 0.9947
Cr: 0.1617 0.6512 0.7732
Cr: 0.6512 0.1617 0.7732
Cr: 0.8269 0.8269 0.2713
Ni: 0.1681 0.1681 0.7839
Ni: 0.3406 0.8306 0.2809
Ni: 0.8306 0.3406 0.2809
O: 0.0361 0.4880 0.6510
O: 0.1527 0.6605 0.3973
O: 0.1614 0.1614 0.3971
O: 0.3336 0.8206 0.9010
O: 0.3490 0.3490 0.8894
O: 0.4772 0.4772 0.6507
O: 0.4880 0.0361 0.6510
O: 0.5238 0.5238 0.1598
O: 0.5298 0.9654 0.1493
O: 0.6605 0.1527 0.3973
O: 0.6700 0.6700 0.3820
O: 0.8206 0.3336 0.9010
O: 0.8290 0.8290 0.8928
O: 0.9654 0.5298 0.1493
O: 0.9902 0.9902 0.6889
O: 0.9975 0.9975 0.1889

=====

# 3
Entry from Materials Project: a relaxed TiMnV4O12 crystal (GGA+U).

VASP energy in eV per atom: -7.8433
ΔH_f (0 K) in eV per atom: -2.51
MP2020-corrected energy in eV per atom: -8.772

Unit cell a=6.9554 b=6.9554 c=5.8079 alpha=105.10 beta=105.10 gamma=84.27
Fractional coordinates of all 18 atoms:
Ti: 0.0000 0.0000 0.0000
Mn: 0.1881 0.8119 0.5000
V: 0.3027 0.2877 0.4975
V: 0.4863 0.0972 0.0047
V: 0.7123 0.6973 0.5025
V: 0.9028 0.5137 0.9953
O: 0.0535 0.7260 0.1018
O: 0.1318 0.0915 0.3592
O: 0.1773 0.5114 0.5152
O: 0.2740 0.9465 0.8982
O: 0.4311 0.2662 0.7942
O: 0.4674 0.2640 0.3063
O: 0.4886 0.8227 0.4848
O: 0.7338 0.5689 0.2058
O: 0.7360 0.5326 0.6937
O: 0.7392 0.0035 0.0349
O: 0.9085 0.8682 0.6408
O: 0.9965 0.2608 0.9651

=====

# 4
Entry from Materials Project: a relaxed MgMn6O6F6 crystal (GGA+U).

VASP energy in eV per atom: -6.6969
Polymorph energy (0 for the lowest one) in eV per atom: 0.019
ΔH_f (0 K) in eV per atom: -2.44
MP2020-corrected energy in eV per atom: -7.587

Unit cell a=5.0157 b=9.1474 c=5.2403 alpha=90.00 beta=98.92 gamma=90.00
Fractional coordinates of all 19 atoms:
Mg: 0.0000 0.0000 0.0000
Mn: 0.0414 0.3374 0.3802
Mn: 0.0414 0.6626 0.3802
Mn: 0.4350 0.0000 0.4807
Mn: 0.4863 0.1839 0.9925
Mn: 0.4863 0.8161 0.9925
Mn: 0.6717 0.5000 0.8519
O: 0.2245 0.1648 0.2346
O: 0.2245 0.8352 0.2346
O: 0.3191 0.0000 0.8297
O: 0.7155 0.3354 0.1300
O: 0.7155 0.6646 0.1300
O: 0.8994 0.5000 0.5594
F: 0.2028 0.5000 0.1744
F: 0.3442 0.3312 0.6833
F: 0.3442 0.6688 0.6833
F: 0.7307 0.0000 0.2348
F: 0.7687 0.1412 0.7589
F: 0.7687 0.8588 0.7589

=====

# 5
Entry from Materials Project: a relaxed Li3Fe5OF11 crystal (GGA+U).

VASP energy in eV per atom: -4.4758
Polymorph energy (0 for the lowest one) in eV per atom: 0.972
ΔH_f (0 K) in eV per atom: -1.62
MP2020-corrected energy in eV per atom: -5.328

Unit cell a=5.2561 b=5.6877 c=9.2911 alpha=72.71 beta=89.10 gamma=63.16
Fractional coordinates of all 20 atoms:
Li: 0.0000 0.0000 0.0000
Li: 0.2214 0.2630 0.7280
Li: 0.7454 0.7355 0.2380
Fe: 0.0645 0.2000 0.3476
Fe: 0.3038 0.4713 0.0886
Fe: 0.5352 0.4644 0.4990
Fe: 0.5637 0.7385 0.8516
Fe: 0.8370 0.9755 0.5948
O: 0.9506 0.2234 0.5392
F: 0.0016 0.5543 0.8887
F: 0.0029 0.8601 0.1906
F: 0.0749 0.3049 0.1472
F: 0.0969 0.6097 0.4499
F: 0.1259 0.9645 0.8044
F: 0.4689 0.7160 0.0494
F: 0.4992 0.3882 0.7077
F: 0.5167 0.0458 0.3836
F: 0.5811 0.1219 0.9558
F: 0.5839 0.8269 0.6427
F: 0.6042 0.4780 0.2871

=====

# 6
Entry from Materials Project: a relaxed TiNiO3 crystal (GGA+U).

VASP energy in eV per atom: -7.3599
ΔH_f (0 K) in eV per atom: -2.58
MP2020-corrected energy in eV per atom: -8.280

Unit cell a=5.5033 b=9.0232 c=9.0257 alpha=68.40 beta=84.68 gamma=84.88
Fractional coordinates of all 40 atoms:
Ti: 0.0000 0.0000 0.0000
Ti: 0.0005 0.5142 0.4814
Ti: 0.0808 0.1449 0.6420
Ti: 0.0869 0.4053 0.8873
Ti: 0.1075 0.6484 0.1292
Ti: 0.5110 0.0045 0.4964
Ti: 0.5708 0.1639 0.1400
Ti: 0.5795 0.6489 0.6398
Ni: 0.0942 0.9019 0.3927
Ni: 0.4939 0.2508 0.7409
Ni: 0.5048 0.5029 0.9959
Ni: 0.5051 0.7558 0.2406
Ni: 0.5880 0.9036 0.8956
Ni: 0.5959 0.4008 0.3909
Ni: 0.9908 0.2514 0.2468
Ni: 0.9933 0.7550 0.7410
O: 0.1304 0.3639 0.6930
O: 0.1331 0.4583 0.0898
O: 0.1381 0.8637 0.1823
O: 0.1400 0.9615 0.5936
O: 0.2725 0.0518 0.8473
O: 0.2844 0.5500 0.3491
O: 0.3040 0.6007 0.7847
O: 0.3060 0.1030 0.2874
O: 0.4370 0.7033 0.0452
O: 0.4395 0.2940 0.9478
O: 0.4428 0.1917 0.5425
O: 0.4519 0.7944 0.4545
O: 0.6356 0.8553 0.6857
O: 0.6402 0.4628 0.5946
O: 0.6424 0.3444 0.1948
O: 0.6518 0.9699 0.0945
O: 0.7807 0.0476 0.3513
O: 0.8054 0.1036 0.7846
O: 0.8111 0.5420 0.8451
O: 0.8208 0.6054 0.2877
O: 0.9443 0.6936 0.5397
O: 0.9511 0.7975 0.9527
O: 0.9539 0.2070 0.0275
O: 0.9539 0.2968 0.4563

=====

# 7
Entry from Materials Project: a relaxed Na3MnF6 crystal (GGA+U).

VASP energy in eV per atom: -4.7943
ΔH_f (0 K) in eV per atom: -2.78
MP2020-corrected energy in eV per atom: -5.238

Unit cell a=5.5628 b=5.7568 c=9.8291 alpha=90.00 beta=122.71 gamma=90.00
Fractional coordinates of all 20 atoms:
Na: 0.0000 0.0000 0.0000
Na: 0.0000 0.5000 0.5000
Na: 0.2580 0.0549 0.7516
Na: 0.2580 0.4451 0.2516
Na: 0.7420 0.5549 0.7484
Na: 0.7420 0.9451 0.2484
Mn: 0.5000 0.0000 0.5000
Mn: 0.5000 0.5000 0.0000
F: 0.1456 0.0619 0.2636
F: 0.1456 0.4381 0.7636
F: 0.2770 0.6720 0.0586
F: 0.2770 0.8280 0.5586
F: 0.4063 0.2207 0.0673
F: 0.4063 0.2793 0.5673
F: 0.5937 0.7207 0.4327
F: 0.5937 0.7793 0.9327
F: 0.7230 0.1720 0.4414
F: 0.7230 0.3280 0.9414
F: 0.8544 0.5619 0.2364
F: 0.8544 0.9381 0.7364

=====

# 8
Entry from Materials Project: a relaxed Li9Mn2Co5O16 crystal (GGA+U).

VASP energy in eV per atom: -5.7769
Polymorph energy (0 for the lowest one) in eV per atom: 0.078
ΔH_f (0 K) in eV per atom: -1.79
MP2020-corrected energy in eV per atom: -6.481

Unit cell a=2.9691 b=5.0651 c=19.3796 alpha=93.61 beta=92.79 gamma=91.32
Fractional coordinates of all 32 atoms:
Li: 0.0000 0.0000 0.0000
Li: 0.0464 0.6864 0.1178
Li: 0.1901 0.0620 0.3759
Li: 0.3111 0.4360 0.6253
Li: 0.4401 0.8239 0.8807
Li: 0.5599 0.1761 0.1193
Li: 0.6889 0.5640 0.3747
Li: 0.8099 0.9380 0.6241
Li: 0.9536 0.3136 0.8822
Mn: 0.3774 0.1260 0.7512
Mn: 0.6226 0.8740 0.2488
Co: 0.1235 0.3743 0.2488
Co: 0.2499 0.7496 0.4997
Co: 0.5000 0.5000 0.0000
Co: 0.7501 0.2504 0.5003
Co: 0.8765 0.6257 0.7512
O: 0.0125 0.3585 0.0545
O: 0.0533 0.0294 0.1892
O: 0.1932 0.7203 0.3087
O: 0.2283 0.4152 0.4428
O: 0.2706 0.0839 0.5569
O: 0.3343 0.7826 0.6938
O: 0.4150 0.4719 0.8060
O: 0.4716 0.2015 0.9449
O: 0.5284 0.7985 0.0551
O: 0.5850 0.5281 0.1940
O: 0.6657 0.2174 0.3062
O: 0.7294 0.9161 0.4431
O: 0.7717 0.5848 0.5572
O: 0.8068 0.2797 0.6913
O: 0.9467 0.9706 0.8108
O: 0.9875 0.6415 0.9455

=====

# 9
Entry from Materials Project: a relaxed Li5FeO4 crystal (GGA+U).

VASP energy in eV per atom: -5.2764
Polymorph energy (0 for the lowest one) in eV per atom: 0.046
ΔH_f (0 K) in eV per atom: -2.00
MP2020-corrected energy in eV per atom: -5.777

Unit cell a=5.5359 b=6.8246 c=11.2235 alpha=90.00 beta=106.22 gamma=90.00
Fractional coordinates of all 40 atoms:
Li: 0.0961 0.0286 0.2021
Li: 0.0961 0.4714 0.7021
Li: 0.3206 0.7474 0.3370
Li: 0.3206 0.7526 0.8370
Li: 0.3611 0.5291 0.0780
Li: 0.3611 0.9709 0.5780
Li: 0.3657 0.5212 0.5632
Li: 0.3657 0.9788 0.0632
Li: 0.3825 0.2151 0.7862
Li: 0.3825 0.2849 0.2862
Li: 0.6175 0.7151 0.7138
Li: 0.6175 0.7849 0.2138
Li: 0.6343 0.0212 0.9368
Li: 0.6343 0.4788 0.4368
Li: 0.6389 0.0291 0.4220
Li: 0.6389 0.4709 0.9220
Li: 0.6794 0.2474 0.1630
Li: 0.6794 0.2526 0.6630
Li: 0.9039 0.5286 0.2979
Li: 0.9039 0.9714 0.7979
Fe: 0.1098 0.2437 0.4394
Fe: 0.1098 0.2563 0.9394
Fe: 0.8902 0.7437 0.0606
Fe: 0.8902 0.7563 0.5606
O: 0.2411 0.7292 0.6458
O: 0.2411 0.7708 0.1458
O: 0.2563 0.0248 0.8850
O: 0.2563 0.4752 0.3850
O: 0.2701 0.2412 0.1139
O: 0.2701 0.2588 0.6139
O: 0.2716 0.0343 0.3798
O: 0.2716 0.4657 0.8798
O: 0.7284 0.5343 0.1202
O: 0.7284 0.9657 0.6202
O: 0.7299 0.7412 0.3861
O: 0.7299 0.7588 0.8861
O: 0.7437 0.5248 0.6150
O: 0.7437 0.9752 0.1150
O: 0.7589 0.2292 0.8542
O: 0.7589 0.2708 0.3542

=====

# 10
Entry from Materials Project: a relaxed Sr2TiMoO6 crystal (GGA+U).

VASP energy in eV per atom: -7.4967
Polymorph energy (0 for the lowest one) in eV per atom: 0.000
ΔH_f (0 K) in eV per atom: -3.05
MP2020-corrected energy in eV per atom: -8.229

Unit cell a=5.6562 b=5.6562 c=5.6562 alpha=119.79 beta=119.79 gamma=90.36
Fractional coordinates of all 10 atoms:
Sr: 0.2500 0.7500 0.5000
Sr: 0.7500 0.2500 0.5000
Ti: 0.0000 0.0000 0.0000
Mo: 0.5000 0.5000 0.0000
O: 0.2208 0.7357 0.9564
O: 0.2474 0.2474 0.0000
O: 0.2643 0.2208 0.4851
O: 0.7357 0.7792 0.5149
O: 0.7526 0.7526 0.0000
O: 0.7792 0.2643 0.0436

=====

# 11
Entry from Materials Project: a relaxed Ca3W2O9 crystal (GGA+U).

VASP energy in eV per atom: -7.1554
Polymorph energy (0 for the lowest one) in eV per atom: 0.000
ΔH_f (0 K) in eV per atom: -2.77
MP2020-corrected energy in eV per atom: -8.231

Unit cell a=8.6823 b=7.8332 c=15.8467 alpha=90.00 beta=90.00 gamma=90.00
Fractional coordinates of all 56 atoms:
Ca: 0.0000 0.0000 0.0000
Ca: 0.0000 0.5000 0.0000
Ca: 0.1913 0.2500 0.4215
Ca: 0.2121 0.7500 0.1394
Ca: 0.2879 0.2500 0.6394
Ca: 0.3087 0.7500 0.9215
Ca: 0.5000 0.0000 0.5000
Ca: 0.5000 0.5000 0.5000
Ca: 0.6913 0.2500 0.0785
Ca: 0.7121 0.7500 0.3606
Ca: 0.7879 0.2500 0.8606
Ca: 0.8087 0.7500 0.5785
W: 0.1561 0.7500 0.3946
W: 0.2444 0.2500 0.1673
W: 0.2556 0.7500 0.6673
W: 0.3439 0.2500 0.8946
W: 0.6561 0.7500 0.1054
W: 0.7444 0.2500 0.3327
W: 0.7556 0.7500 0.8327
W: 0.8439 0.2500 0.6054
O: 0.0488 0.2500 0.5796
O: 0.0673 0.7500 0.6181
O: 0.1131 0.7500 0.0136
O: 0.1410 0.0583 0.1328
O: 0.1410 0.4417 0.1328
O: 0.1790 0.7500 0.2821
O: 0.2319 0.7500 0.7802
O: 0.2479 0.5594 0.4370
O: 0.2479 0.9406 0.4370
O: 0.2521 0.0594 0.9370
O: 0.2521 0.4406 0.9370
O: 0.2681 0.2500 0.2802
O: 0.3210 0.2500 0.7821
O: 0.3590 0.5583 0.6328
O: 0.3590 0.9417 0.6328
O: 0.3869 0.2500 0.5136
O: 0.4327 0.2500 0.1181
O: 0.4512 0.7500 0.0796
O: 0.5488 0.2500 0.9204
O: 0.5673 0.7500 0.8819
O: 0.6131 0.7500 0.4864
O: 0.6410 0.0583 0.3672
O: 0.6410 0.4417 0.3672
O: 0.6790 0.7500 0.2179
O: 0.7319 0.7500 0.7198
O: 0.7479 0.5594 0.0630
O: 0.7479 0.9406 0.0630
O: 0.7521 0.0594 0.5630
O: 0.7521 0.4406 0.5630
O: 0.7681 0.2500 0.2198
O: 0.8210 0.2500 0.7179
O: 0.8590 0.5583 0.8672
O: 0.8590 0.9417 0.8672
O: 0.8869 0.2500 0.9864
O: 0.9327 0.2500 0.3819
O: 0.9512 0.7500 0.4204